Entry 1:
VASP calculation (PBE+U) on a geometry-optimized MgV4O6F6 structure.

```
17
Lattice="2.701 1.299 -4.294 0.091 9.352 0.279 2.606 -1.247 4.251" Properties=species:S:1:pos:R:3 pbc="T T T"
Mg 2.616 5.462 3.598
V 5.144 0.127 0.178
V 2.584 7.808 -1.708
V 2.887 4.597 -0.086
V 2.614 1.811 2.106
O 1.530 8.322 -0.492
O 2.388 8.950 -3.161
O 2.231 3.154 1.157
O 3.419 6.221 -0.991
O 3.780 0.933 0.767
O 4.236 3.706 -0.627
F 1.163 5.557 0.458
F 1.122 0.605 1.589
F 1.680 3.938 -1.486
F 3.151 0.278 3.315
F 3.620 5.397 1.759
F 4.333 8.646 -1.238
```

## Properties
ΔH_f (0 K): -2.78 eV per atom
E: -112.650 eV/cell
offset from the most stable computed form: 30 meV per atom
symmetry: No. 1

---

Entry 2:
VASP calculation (PBE+U) on a geometry-optimized MgV4O6F6 structure.

```
17
Lattice="2.495 1.397 -4.227 0.077 9.456 0.096 2.713 -1.353 4.378" Properties=species:S:1:pos:R:3 pbc="T T T"
Mg 2.606 2.107 -0.750
V 5.105 9.291 0.330
V 2.530 7.781 -1.837
V 2.783 4.837 0.138
V 2.694 1.860 2.150
O 1.551 8.516 -0.666
O 2.109 9.258 -3.158
O 2.209 3.211 0.967
O 3.082 6.233 -0.842
O 3.554 0.997 0.674
O 4.140 3.645 -0.708
F 1.163 5.709 0.893
F 3.405 2.022 -2.600
F 1.642 3.940 -1.480
F 0.706 1.527 -1.036
F 3.814 5.329 1.712
F 4.165 8.830 -1.333
```

## Properties
ΔH_f (0 K): -2.78 eV per atom
E: -112.760 eV/cell
offset from the most stable computed form: 23 meV per atom
symmetry: No. 1

---

Entry 3:
VASP calculation (PBE+U) on a geometry-optimized MgV4O5F7 structure.

```
17
Lattice="-5.337 -0.020 -0.038 -0.012 5.958 -4.080 -0.040 -3.452 -4.428" Properties=species:S:1:pos:R:3 pbc="T T T"
Mg -5.242 0.278 -2.929
V -2.665 1.250 -4.329
V -2.746 -1.769 -2.294
V -5.326 -0.428 -6.485
V -5.276 2.562 -8.330
O -4.990 1.396 -1.216
O -4.361 3.244 -7.104
O -3.320 -0.197 -3.315
O -2.331 2.660 -5.273
O -0.510 0.938 -7.409
F -4.406 2.105 -3.668
F -3.850 4.946 -4.840
F -3.669 0.409 -5.880
F -1.543 1.843 -2.793
F -1.661 -2.539 -3.796
F -1.031 -0.799 -1.716
F -0.916 0.212 -4.701
```

## Properties
ΔH_f (0 K): -2.86 eV per atom
E: -111.174 eV/cell
offset from the most stable computed form: 28 meV per atom
symmetry: No. 1

---

Entry 4:
VASP calculation (PBE+U) on a geometry-optimized MgV4O5F7 structure.

```
17
Lattice="-5.331 -0.024 -0.054 -0.018 5.926 -4.042 -0.057 -3.469 -4.438" Properties=species:S:1:pos:R:3 pbc="T T T"
Mg -2.756 0.873 -1.350
V -2.642 1.260 -4.358
V -3.021 4.069 -6.383
V -5.308 -0.529 -6.475
V -0.136 2.481 -8.378
O -4.678 1.392 -1.022
O -4.393 3.285 -6.940
O -3.046 -0.117 -3.131
O -2.240 2.687 -5.286
O -0.437 1.064 -7.442
F -4.277 2.196 -3.623
F -3.702 4.988 -4.728
F -3.603 0.369 -5.803
F -1.674 2.015 -2.589
F -1.844 -2.391 -3.952
F -1.219 -0.543 -1.404
F -1.013 0.248 -4.891
```

## Properties
ΔH_f (0 K): -2.86 eV per atom
E: -111.146 eV/cell
offset from the most stable computed form: 29 meV per atom
symmetry: No. 1

---

Entry 5:
VASP calculation (PBE+U) on a geometry-optimized MgV8O8F8 structure.

```
25
Lattice="3.741 3.013 -1.094 -6.189 5.017 -6.875 -2.348 3.500 3.909" Properties=species:S:1:pos:R:3 pbc="T T T"
Mg 1.870 1.507 -0.547
V -1.572 5.357 0.439
V 0.696 3.257 1.407
V -3.224 6.174 -4.500
V -1.224 4.015 -3.985
V 1.561 4.993 -1.727
V -6.357 6.537 -2.333
V -4.268 4.259 -1.483
V 0.000 0.000 0.000
O 1.832 3.524 -0.433
O -3.593 8.092 -4.392
O -1.482 5.948 -3.590
O 0.549 3.777 -3.024
O -3.314 5.582 -0.470
O -5.345 7.753 -1.036
O -1.203 3.439 0.332
O -6.628 8.007 -3.627
F -2.357 8.057 -1.891
F -0.282 5.809 -1.110
F -2.376 6.537 -6.513
F 0.306 5.293 1.548
F -5.101 6.237 -5.608
F -4.513 5.721 -2.951
F -2.420 4.993 2.453
F -2.439 3.473 -2.169
```

## Properties
ΔH_f (0 K): -2.64 eV per atom
E: -172.269 eV/cell
offset from the most stable computed form: 74 meV per atom
symmetry: No. 2

---

Entry 6:
VASP calculation (PBE+U) on a geometry-optimized MgV6O5F19 structure.

```
31
Lattice="-2.077 2.488 4.541 -2.600 -4.206 0.929 13.394 -6.629 5.064" Properties=species:S:1:pos:R:3 pbc="T T T"
Mg 0.121 -2.419 2.717
V 10.780 -10.523 6.193
V 3.058 -3.889 2.638
V 8.213 -3.870 4.590
V 10.825 -7.164 7.893
V 0.576 -4.791 5.538
V 6.000 -4.521 7.321
O 7.911 -5.055 3.481
O 6.654 -4.172 5.836
O 10.543 -5.709 8.535
O -1.858 -2.690 2.060
O 1.604 -0.793 5.679
F 11.672 -6.576 6.288
F 7.156 -7.348 4.866
F 0.607 -1.240 1.190
F 4.511 -3.975 3.678
F 9.134 -4.694 5.862
F 1.193 -3.872 2.041
F 4.642 -6.711 4.955
F 9.365 -7.559 7.009
F 2.458 -2.034 3.409
F 2.105 -4.558 4.348
F 5.933 -6.319 7.233
F -0.831 -0.827 3.494
F 4.115 -1.731 5.533
F 7.429 -4.521 8.365
F -0.237 -3.527 4.391
F 4.267 -4.309 7.017
F 7.723 -7.272 9.454
F -3.177 -1.571 4.335
F 1.157 -3.305 6.647
```

## Properties
ΔH_f (0 K): -2.85 eV per atom
E: -183.257 eV/cell
offset from the most stable computed form: 23 meV per atom
symmetry: No. 1

---

Entry 7:
VASP calculation (PBE+U) on a geometry-optimized MgV6O5F19 structure.

```
31
Lattice="5.462 -0.007 -0.004 -0.008 5.254 -0.006 -2.686 -0.011 15.297" Properties=species:S:1:pos:R:3 pbc="T T T"
Mg -0.434 5.113 3.571
V 2.734 5.174 15.190
V -0.060 2.402 5.168
V -0.265 0.123 10.165
V -0.141 2.463 15.231
V 2.599 0.076 5.202
V 2.465 2.513 10.163
O -1.564 1.091 9.832
O -1.449 1.476 14.976
O 1.023 0.949 4.672
O 1.167 1.540 9.838
O 3.950 1.503 4.773
F -1.087 3.809 10.586
F -0.056 0.420 1.765
F 0.064 2.248 6.913
F 0.077 0.481 11.867
F 0.107 3.233 3.431
F 0.205 4.809 8.551
F 0.153 3.094 13.604
F 1.185 1.115 14.901
F 1.556 4.066 0.334
F 1.613 3.690 5.430
F 1.647 4.079 10.584
F 2.788 2.239 1.681
F 2.681 0.418 6.917
F 2.818 2.155 11.861
F 3.027 4.848 3.408
F 2.942 3.069 8.549
F 2.873 4.812 13.468
F 4.289 3.739 0.318
F 4.383 4.202 5.410
```

## Properties
ΔH_f (0 K): -2.83 eV per atom
E: -182.662 eV/cell
offset from the most stable computed form: 42 meV per atom
symmetry: No. 1

---

Entry 8:
VASP calculation (PBE+U) on a geometry-optimized MgV4O5F7 structure.

```
17
Lattice="3.296 -1.573 -3.655 5.161 2.059 -0.040 4.575 -4.675 6.210" Properties=species:S:1:pos:R:3 pbc="T T T"
Mg 6.402 0.114 1.981
V 6.127 -1.276 -1.314
V 4.069 -3.077 1.567
V 6.982 -2.903 3.612
V 5.347 1.957 -0.214
O 4.927 -1.739 -2.721
O 5.594 0.568 -1.210
O 8.240 -2.266 2.655
O 5.649 -3.190 2.190
O 3.258 -1.658 2.359
F 9.424 -2.538 0.032
F 7.878 -0.932 -2.324
F 7.104 -1.035 0.491
F 4.487 -2.025 -0.114
F 7.390 -4.775 3.577
F 7.981 -2.576 5.288
F 5.464 -3.378 4.852
```

## Properties
ΔH_f (0 K): -2.85 eV per atom
E: -111.093 eV/cell
offset from the most stable computed form: 32 meV per atom
symmetry: No. 1

---

Entry 9:
VASP calculation (PBE+U) on a geometry-optimized MgW2O4F4 structure.

```
11
Lattice="2.796 2.754 0.006 -2.796 2.754 0.006 0.000 0.021 10.124" Properties=species:S:1:pos:R:3 pbc="T T T"
Mg 0.000 1.316 8.779
W 0.000 1.483 2.591
W 0.000 4.096 7.401
O -1.392 2.714 7.797
O -1.383 2.821 2.523
O 1.392 2.714 7.797
O 1.383 2.821 2.523
F 0.000 1.386 0.589
F 0.000 1.387 4.457
F 0.000 4.095 5.466
F 0.000 4.117 9.490
```

## Properties
ΔH_f (0 K): -2.50 eV per atom
E: -69.028 eV/cell
offset from the most stable computed form: 122 meV per atom
symmetry: No. 8

---

Entry 10:
VASP calculation (PBE+U) on a geometry-optimized MgW2O4F4 structure.

```
11
Lattice="7.781 0.003 0.000 0.001 3.855 0.000 0.000 0.000 6.711" Properties=species:S:1:pos:R:3 pbc="T T T"
Mg 3.968 2.176 3.356
W 0.103 3.828 0.000
W 3.993 3.830 0.000
O 0.099 1.910 0.000
O 1.994 3.832 0.000
O 3.985 1.902 0.000
O 5.990 3.831 0.000
F 0.108 3.851 1.931
F 0.108 3.851 4.780
F 3.984 3.812 2.160
F 3.984 3.812 4.551
```

## Properties
ΔH_f (0 K): -2.41 eV per atom
E: -68.030 eV/cell
offset from the most stable computed form: 213 meV per atom
symmetry: No. 6

---

Entry 11:
VASP calculation (PBE+U) on a geometry-optimized MgW2O4F4 structure.

```
11
Lattice="2.745 2.787 -0.001 -2.745 2.787 -0.001 0.000 -0.011 9.830" Properties=species:S:1:pos:R:3 pbc="T T T"
Mg -1.412 2.787 -0.001
W 0.059 1.490 2.573
W 0.059 4.074 7.254
O -1.417 2.770 7.705
O -1.417 2.794 2.123
O 1.358 2.714 7.359
O 1.358 2.850 2.468
F -0.011 1.418 0.395
F 0.031 1.411 4.478
F 0.031 4.153 5.349
F -0.011 4.146 9.433
```

## Properties
ΔH_f (0 K): -2.63 eV per atom
E: -70.370 eV/cell
offset from the most stable computed form: 0 meV per atom
symmetry: No. 5

---

Entry 12:
VASP calculation (PBE+U) on a geometry-optimized MgVSF5 structure.

```
16
Lattice="-1.497 -4.464 -3.056 3.887 2.856 -4.065 4.423 -3.046 5.188" Properties=species:S:1:pos:R:3 pbc="T T T"
Mg 4.763 -2.224 -0.137
Mg 1.848 -2.164 -2.487
V 4.896 -0.997 -3.120
V 4.298 -6.050 0.321
S 1.957 -6.015 0.606
S 1.503 -1.480 1.513
F 1.300 -0.463 -1.672
F 3.710 -2.177 -1.840
F 2.053 -3.183 -4.385
F 3.011 -1.373 0.586
F 1.662 -3.307 -0.760
F 0.039 -2.693 -2.969
F 5.851 -1.169 -1.402
F 5.761 -1.725 1.428
F 3.146 -0.781 -3.680
F 4.633 -4.117 0.097
```

## Properties
ΔH_f (0 K): -2.67 eV per atom
E: -83.427 eV/cell
symmetry: No. 1

---

- The highest ΔH_f (0 K) belongs to which entry?
  number 10

---

- Number 7 is which compound?
  MgV6O5F19

---

- What is the ΔH_f (0 K) in the eleventh record?
  -2.63 eV per atom